DFT (PBE+U) results for an optimized crystal structure of NaMnFeP2O8.

Output
- E above lowest polymorph (meV/atom) = 422

Cell lengths 9.9945, 10.0844, 12.7658 Å; angles 75.72, 74.16, 81.56 degrees
With the nearest neighbours (Å) after each atom.
Space group P-1 (No. 2)
Unique sites:
Na 0.0000 0.0000 0.0000 [1 per cell]  6 O 2.58-2.82
Na 0.1732 0.1958 0.4123 [2 per cell]  3 O 2.28-2.35
Na 0.2970 0.2699 0.7377 [2 per cell]  3 O 2.22-2.38
Na 0.5000 0.5000 0.5000 [1 per cell]  2 O 2.28
Mn 0.1424 0.9092 0.6742 [2 per cell]  2 O 1.66-1.82
Mn 0.2243 0.4025 0.1567 [2 per cell]  4 O 1.84-2.01
Mn 0.3382 0.8818 0.4574 [2 per cell]  3 O 1.90-1.99
Fe 0.1878 0.5148 0.4017 [2 per cell]  2 O 1.72-1.83
Fe 0.2957 0.6333 0.9373 [2 per cell]  3 O 1.79-1.93
Fe 0.3744 0.9654 0.1157 [2 per cell]  3 O 1.97-2.18
P 0.1110 0.5016 0.8319 [2 per cell]  3 O 1.49-1.57
P 0.1366 0.6503 0.6000 [2 per cell]  4 O 1.54-1.59
P 0.1625 0.7777 0.1407 [2 per cell]  3 O 1.48-1.56
P 0.3569 0.6811 0.2803 [2 per cell]  3 O 1.50-1.64
P 0.4547 0.9706 0.6691 [2 per cell]  4 O 1.53-1.61
P 0.4938 0.7968 0.8882 [2 per cell]  3 O 1.55-1.73
O 0.0444 0.4565 0.1251 [2 per cell]  1 P 1.53
O 0.0465 0.7610 0.6625 [2 per cell]  1 P 1.56
O 0.0493 0.7260 0.2391 [2 per cell]  1 P 1.48
O 0.0677 0.6230 0.5141 [2 per cell]  1 P 1.54
O 0.1150 0.9873 0.7797 [2 per cell]  1 Mn 1.66
O 0.1459 0.5136 0.6932 [2 per cell]  2 P 1.59-1.68
O 0.1610 0.3580 0.8774 [2 per cell]  1 P 1.49
O 0.1647 0.7474 0.0267 [2 per cell]  1 P 1.55
O 0.1676 0.9719 0.5244 [2 per cell]  2 Mn 1.82-1.90
O 0.1757 0.4126 0.3047 [2 per cell]  1 Fe 1.83, 1 Mn 1.84
O 0.1856 0.9333 0.1144 [2 per cell]  1 P 1.56
O 0.1966 0.6184 0.8344 [2 per cell]  1 P 1.57
O 0.2871 0.6954 0.5441 [2 per cell]  1 P 1.56
O 0.3075 0.4284 0.4747 [2 per cell]  1 Fe 1.72
O 0.3162 0.6946 0.1620 [2 per cell]  2 P 1.64-1.69
O 0.3269 0.8327 0.2961 [2 per cell]  1 P 1.57
O 0.3424 0.4681 0.0156 [2 per cell]  1 Fe 1.79, 1 Mn 1.89
O 0.3533 0.8845 0.6493 [2 per cell]  1 P 1.53
O 0.3539 0.2314 0.1788 [2 per cell]  1 P 1.55
O 0.3932 0.0714 0.3897 [2 per cell]  1 P 1.55
O 0.4391 0.1270 0.6254 [2 per cell]  1 P 1.54
O 0.4413 0.9440 0.8008 [2 per cell]  2 P 1.61-1.73
O 0.4969 0.1237 0.0220 [2 per cell]  1 P 1.58
O 0.4967 0.3812 0.7244 [2 per cell]  1 P 1.50

DFT (PBE+U) results for an optimized crystal structure of CsLiMoO4.

Output
- largest piezoelectric modulus (C/m2) = 0.28

Cell lengths 8.5788, 8.5788, 8.5788 Å; angles 90.00, 90.00, 90.00 degrees
With the nearest neighbours (Å) after each atom.
Space group F-43m (No. 216)
Unique sites:
Cs 0.0000 0.0000 0.0000 [4 per cell]  12 O 3.57, 4 Li 3.71
Li 0.2500 0.2500 0.7500 [4 per cell]  4 O 1.92
Mo 0.0000 0.0000 0.5000 [4 per cell]  4 O 1.79
O 0.1207 0.1207 0.6207 [16 per cell]  1 Mo 1.79, 1 Li 1.92

DFT (PBE+U) results for an optimized crystal structure of K2CoPCO7.

Cell lengths 5.5364, 6.9619, 9.5070 Å; angles 90.00, 90.60, 90.00 degrees
With the nearest neighbours (Å) after each atom.
Space group P2_1/m (No. 11)
Unique sites:
K 0.2434 0.0206 0.2453 [4 per cell]  5 O 2.58-2.88
Co 0.2306 0.2500 0.6367 [2 per cell]  3 O 1.88-2.04
P 0.2778 0.7500 0.5678 [2 per cell]  4 O 1.54-1.59
C 0.2723 0.2500 0.9007 [2 per cell]  3 O 1.25-1.32
O 0.0678 0.2500 0.8282 [2 per cell]  1 C 1.32
O 0.1084 0.7500 0.4363 [2 per cell]  1 P 1.55
O 0.2443 0.5668 0.6566 [4 per cell]  1 P 1.54
O 0.2825 0.2500 0.0325 [2 per cell]  1 C 1.25
O 0.4515 0.2500 0.4878 [2 per cell]  1 P 1.59
O 0.4599 0.2500 0.8183 [2 per cell]  1 C 1.31

| no. | ΔE_f (eV per atom) | electronic total energy (eV/f.u.) | mass density (g/cm3) |
| --- | --- | --- | --- |
| 1 | -2.06 | -86.7 | 2.699 |
| 2 | -2.26 | -43.3 | 3.154 |
| 3 | -2.11 | -77.4 | 2.648 |